(1)
8
Lattice="1.627 5.900 0.006 -1.627 5.900 0.006 0.000 2.669 4.941" Properties=species:S:1:pos:R:3 comment="MgZn3O4 r²SCAN optimized geometry" m_tot_mub_per_fu=0.00 formation_energy_ev_per_atom=-1.954 pbc="T T T"
Zn 0.000 3.171 0.426
Zn 0.000 6.358 0.838
Zn 0.000 1.776 3.283
O 0.000 10.761 4.820
O 0.000 7.590 4.412
O 0.000 3.532 2.361
O 0.000 12.127 1.958
Mg 0.000 10.390 2.888



(2)
24
Lattice="4.198 0.000 0.000 0.000 7.739 0.000 0.000 0.000 16.126" Properties=species:S:1:pos:R:3 comment="Ce2P3Au r²SCAN optimized geometry" m_tot_mub_per_fu=1.90 formation_energy_ev_per_atom=-1.223 pbc="T T T"
Au 1.050 0.070 10.480
Au 3.149 7.668 5.646
Au 3.149 3.799 2.417
Au 1.050 3.940 13.709
Ce 1.050 1.832 7.667
Ce 3.149 2.037 15.729
Ce 3.149 3.087 11.362
Ce 3.149 6.956 12.826
Ce 1.050 4.652 4.764
Ce 1.050 5.702 0.396
Ce 1.050 0.783 3.299
Ce 3.149 5.906 8.459
P 3.149 7.500 1.517
P 3.149 6.173 3.238
P 3.149 3.631 6.546
P 1.050 6.845 6.640
P 3.149 4.764 14.702
P 3.149 2.303 4.824
P 1.050 4.108 9.580
P 1.050 0.239 14.608
P 1.050 2.975 1.423
P 1.050 1.566 12.887
P 3.149 0.894 9.486
P 1.050 5.436 11.301



(3)
22
Lattice="-1.910 1.858 2.435 2.184 -5.227 5.702 14.547 10.108 3.696" Properties=species:S:1:pos:R:3 comment="Ho5In4Pt2 r²SCAN optimized geometry" m_tot_mub_per_fu=0.10 formation_energy_ev_per_atom=-0.962 pbc="T T T"
Ho 3.737 0.957 2.201
Ho 0.000 0.000 0.000
Ho 10.435 1.284 7.205
Ho 6.295 3.597 2.193
Ho 12.993 3.924 7.197
Ho 5.690 -1.059 5.271
Ho 14.157 7.243 5.577
Ho 2.573 -2.362 3.821
Ho 11.040 5.940 4.127
Ho 8.365 2.441 4.699
Pt 11.772 6.580 6.888
Pt 11.297 2.878 9.341
Pt 3.523 3.861 2.492
Pt 3.048 0.159 4.945
In 3.225 -2.398 7.036
In 5.082 2.264 4.934
In 7.761 5.569 4.513
In 0.662 0.097 3.121
In 14.158 6.642 8.712
In 9.739 4.475 6.899
In 7.059 1.170 7.320
In 11.595 9.137 4.797



(4)
15
Lattice="4.643 2.681 6.022 -4.643 2.681 6.022 0.000 -5.361 6.022" Properties=species:S:1:pos:R:3 comment="Eu3Au2 r²SCAN optimized geometry" m_tot_mub_per_fu=22.30 formation_energy_ev_per_atom=-0.764 pbc="T T T"
Au -3.693 0.169 7.782
Au 3.693 -0.169 10.283
Au 1.700 -3.282 7.782
Au -1.700 3.282 10.283
Au -1.992 -3.113 10.283
Au 1.992 3.113 7.782
Eu -2.336 -0.035 10.708
Eu -1.138 -2.040 7.357
Eu 0.000 0.000 3.584
Eu -1.198 2.006 7.357
Eu 2.336 0.035 7.357
Eu 0.000 0.000 14.481
Eu 1.198 -2.006 10.708
Eu 1.138 2.040 10.708
Eu 0.000 0.000 0.000



(5)
29
Lattice="9.199 2.793 4.216 0.256 6.732 8.050 2.622 -3.379 9.587" Properties=species:S:1:pos:R:3 comment="Sr6Li23 r²SCAN optimized geometry" m_tot_mub_per_fu=0.00 formation_energy_ev_per_atom=0.006 pbc="T T T"
Li 6.232 5.466 8.920
Li 9.856 3.108 15.643
Li 5.910 -0.293 6.902
Li 6.038 3.073 10.927
Li 1.439 1.677 8.819
Li 4.599 1.397 2.108
Li 4.805 1.900 5.103
Li 2.904 0.116 6.655
Li 7.383 0.544 9.667
Li 4.727 4.763 6.133
Li 9.172 6.030 15.199
Li 2.221 3.038 6.211
Li 4.693 5.602 12.186
Li 0.128 3.366 4.025
Li 9.046 3.685 10.320
Li 4.569 2.325 8.267
Li 7.271 4.247 16.750
Li 3.030 2.462 11.534
Li 7.508 3.821 13.586
Li 5.845 0.680 12.934
Li 9.930 5.054 17.969
Li 2.147 1.093 3.885
Li 1.311 -1.689 4.793
Sr 4.180 3.238 14.872
Sr 2.638 5.225 9.235
Sr 7.897 2.909 6.981
Sr 9.438 0.922 12.618
Sr 4.029 -0.720 10.139
Sr 8.047 6.867 11.715



(6)
27
Lattice="-3.416 1.481 0.803 -3.745 -11.040 4.424 2.831 -1.670 15.118" Properties=species:S:1:pos:R:3 comment="RbIn3S5 r²SCAN optimized geometry" m_tot_mub_per_fu=0.00 formation_energy_ev_per_atom=-0.935 pbc="T T T"
Rb -0.596 -1.732 9.685
Rb -1.873 -5.520 2.212
Rb -3.733 -9.497 10.660
In -0.241 -1.410 1.575
In -1.127 -6.195 6.624
In -4.328 -8.642 6.552
In -2.165 -5.615 10.172
In -2.560 -9.064 14.849
In -0.673 -11.300 17.967
In 0.214 -6.516 12.917
In -1.769 -2.166 5.496
In -0.001 -2.588 13.793
S -1.499 -10.713 13.372
S -0.130 -4.983 8.630
S -1.126 -4.354 12.264
S 1.962 -2.053 12.125
S -2.753 -4.469 5.559
S -2.269 -1.990 3.050
S -1.576 -6.761 14.785
S 1.535 -4.469 14.764
S -1.708 0.740 0.402
S -2.061 -9.240 17.295
S -2.875 -10.657 7.416
S -2.449 -8.241 4.777
S -3.203 -6.876 8.080
S 0.585 -1.998 6.169
S -0.784 -7.728 10.911



(7)
72
Lattice="-5.117 5.579 -0.621 -4.825 -1.398 -5.698 -10.975 -3.718 4.479" Properties=species:S:1:pos:R:3 comment="Na2H20CO13 r²SCAN optimized geometry" m_tot_mub_per_fu=0.00 formation_energy_ev_per_atom=-1.188 pbc="T T T"
O -11.634 -0.146 -3.877
O -6.543 3.129 -0.082
O -11.728 2.960 0.780
O -11.847 -3.097 -1.020
O -9.381 0.609 1.950
O -3.877 1.081 0.304
O -11.431 1.011 -1.355
O -14.098 0.670 -0.925
O -11.662 3.201 -2.964
O -16.891 -1.507 0.406
O -5.012 1.891 -2.047
O -9.231 -2.447 -2.576
O -9.203 0.870 -1.241
O -8.578 1.762 -3.723
O -9.058 3.570 -0.859
O -14.363 -2.632 -1.779
O -10.465 -0.767 -0.389
O -17.065 -0.661 -2.182
O -3.761 -0.694 -2.590
O -17.257 1.234 0.719
O -9.284 -2.691 1.152
O -14.933 0.833 3.403
O -14.671 -1.449 0.664
O -6.021 -0.430 -5.279
O -12.192 -1.254 1.725
O -6.677 -0.063 -1.001
H -9.508 -1.869 -1.847
H -13.119 0.659 -1.043
H -12.013 -3.879 0.471
H -11.472 2.475 -2.329
H -8.730 0.459 -4.775
H -8.417 0.835 1.841
H -7.627 0.206 -1.004
H -11.550 2.346 0.046
H -5.906 0.465 -4.915
H -9.629 0.115 1.152
H -11.493 -2.198 -0.877
H -12.769 -2.980 -1.375
H -4.068 0.202 -2.376
H -7.607 1.931 -3.710
H -8.240 -2.438 -2.556
H -15.150 -0.051 3.068
H -6.135 2.737 -0.878
H -7.002 -0.521 -5.359
H -9.215 2.615 -1.030
H -8.826 1.436 -2.828
H -6.194 0.651 -1.467
H -6.691 1.942 1.114
H -13.943 0.866 3.440
H -14.318 -1.921 -2.467
H -11.690 -1.004 0.921
H -12.151 -0.013 2.875
H -14.327 -0.094 -0.349
H -6.522 -1.534 -1.824
H -11.565 0.326 -3.024
H -16.890 -1.031 -1.288
H -4.136 1.430 -0.571
H -12.715 3.010 0.803
H -9.558 -1.981 0.540
H -13.126 -1.386 1.431
H -9.001 4.009 -1.745
H -7.470 3.379 -0.340
H -2.791 -0.607 -2.800
H -17.128 0.282 0.537
H -14.579 -2.185 -0.930
H -14.363 2.060 -0.017
Na -10.051 3.403 -4.721
Na -5.415 -0.593 1.025
Na -10.881 -2.948 2.904
Na -15.517 1.036 -2.851
C -10.362 0.374 -1.002
C -15.845 -1.588 1.163



(8)
56
Lattice="-5.379 -6.359 -0.778 6.081 -4.748 -3.242 2.021 -2.647 7.668" Properties=species:S:1:pos:R:3 comment="LiMn5O8 r²SCAN optimized geometry" m_tot_mub_per_fu=20.00 formation_energy_ev_per_atom=-2.148 pbc="T T T"
O -2.507 -7.826 3.775
O -1.826 -5.451 2.136
O -1.759 -8.503 1.091
O 4.100 -7.727 -0.347
O -0.449 -8.797 -1.795
O 0.149 -10.191 2.156
O 1.861 -5.670 -1.427
O 1.301 -7.981 0.177
O 1.810 -3.500 6.273
O 0.985 -4.978 1.320
O 2.089 -8.515 -2.232
O -0.029 -7.465 3.112
O -0.127 -4.732 3.953
O -0.825 -9.531 4.759
O 3.825 -4.748 0.963
O 3.162 -6.956 2.653
O 1.830 -3.068 -0.211
O 3.265 -9.814 1.256
O 2.418 -12.213 3.240
O -0.613 -6.090 -0.785
O 5.095 -8.652 3.661
O 4.970 -5.097 -2.075
O 2.362 -9.176 4.329
O 1.424 -10.565 -0.796
O -0.969 -6.920 5.651
O 2.994 -4.174 3.348
O 5.826 -6.535 2.048
O -0.855 -3.461 0.312
O 2.179 -6.600 5.314
O 0.830 -2.593 2.320
O -3.821 -6.347 -0.237
O 4.880 -6.188 4.433
Mn -2.010 -6.629 0.507
Mn 3.740 -5.814 -0.702
Mn 2.710 -9.118 -0.429
Mn -1.143 -8.997 2.893
Mn 0.672 -7.274 -1.549
Mn 2.372 -3.552 1.552
Mn 2.039 -10.297 2.731
Mn 6.419 -7.284 3.768
Mn 0.861 -10.064 -2.547
Mn -0.656 -5.821 7.265
Mn 3.540 -7.676 4.378
Mn -2.336 -8.721 -2.383
Mn 4.398 -5.421 2.651
Mn 1.679 -4.768 4.760
Mn 0.503 -4.483 -0.556
Mn -2.163 -8.486 5.630
Mn -0.501 -3.952 2.185
Mn 1.365 -6.895 1.829
Mn 7.074 -6.070 0.585
Mn -1.326 -6.217 3.915
Li -0.148 -9.524 0.169
Li 4.567 -8.193 1.664
Li 0.340 -1.720 0.456
Li 0.687 -8.071 5.007



(9)
40
Lattice="-4.916 3.542 -3.764 6.289 -2.910 -10.950 -7.263 -11.317 -1.164" Properties=species:S:1:pos:R:3 comment="CsSm2Cl7 r²SCAN optimized geometry" m_tot_mub_per_fu=0.00 formation_energy_ev_per_atom=-2.537 pbc="T T T"
Cl -7.140 -0.985 -4.991
Cl 2.682 -3.024 -6.476
Cl -4.165 -2.235 -10.049
Cl 0.600 -2.838 -3.577
Cl 0.201 -4.214 -11.108
Cl -1.768 -1.132 -5.390
Cl -3.122 0.144 -2.415
Cl -6.207 -9.365 -7.592
Cl -8.571 -7.661 -9.403
Cl -2.767 -10.830 -13.464
Cl 0.318 -1.320 -8.287
Cl -1.724 -8.450 -5.829
Cl -1.114 -7.997 -12.698
Cl -4.087 -6.748 -7.639
Cl -4.121 -9.553 -10.488
Cl -6.489 -7.847 -12.302
Cl -6.504 -9.753 -4.061
Cl -0.759 -1.558 -0.605
Cl -4.775 -2.689 -3.180
Cl -2.167 -2.508 -12.922
Cl 0.615 -0.933 -11.817
Cl -2.121 -4.442 -4.788
Cl 1.251 -9.700 -10.887
Cl -5.130 -9.127 -15.273
Cl -6.090 -6.471 -4.770
Cl -3.722 -8.177 -2.957
Cl -1.802 -3.937 -8.240
Cl -3.768 -6.244 -11.090
Cs -0.773 -7.268 -9.208
Cs -5.116 -3.417 -6.671
Cs 3.520 -1.915 -9.777
Cs -9.409 -8.770 -6.101
Sm -6.324 -7.580 -2.253
Sm -1.403 -2.101 -10.282
Sm -3.831 -8.317 -12.959
Sm 0.435 -3.105 -13.626
Sm -4.486 -8.584 -5.597
Sm -0.069 -3.136 -6.239
Sm -2.058 -2.368 -2.919
Sm -5.820 -7.550 -9.640



(10)
12
Lattice="-0.530 3.797 -0.271 2.959 -1.387 2.023 8.627 0.320 -12.395" Properties=species:S:1:pos:R:3 comment="TmNiP r²SCAN optimized geometry" m_tot_mub_per_fu=0.00 formation_energy_ev_per_atom=-1.332 pbc="T T T"
Ni 2.916 0.383 -0.351
Ni 4.989 0.460 -3.330
Ni 6.067 2.270 -7.312
Ni 8.140 2.347 -10.291
Tm 1.627 3.877 -3.369
Tm 0.000 0.000 0.000
Tm 9.429 -1.147 -7.273
Tm 4.313 0.160 -6.197
P 7.162 0.540 -6.452
P 1.687 2.108 -1.019
P 9.369 0.622 -9.623
P 3.893 2.190 -4.190